No. 1
A plane-wave DFT calculation with PBE+U was carried out for crystalline Na6Ni2C4SO16 at its relaxed geometry.

Its energy of formation is -5530 kJ/mol of formula units. The value obtained for the energy is -6.240 eV per atom.

The space group is Fd-3 (No. 203, origin choice 2) and the conventional cell measures 13.898, 13.898 and 13.898 Å, with angles of 90.00, 90.00 and 90.00 degrees. Symmetry generates all atoms from Na at (0.092, 0.375, 0.375), Ni at (0.000, 0.000, 0.500), C at (0.032, 0.032, 0.718), S at (0.125, 0.125, 0.125), O at (0.020, 0.278, 0.602) and O at (0.063, 0.063, 0.063).



No. 2
A plane-wave DFT calculation with PBE+U was carried out for crystalline Na6SiNi2C4O16 at its relaxed geometry.

Its energy of formation is -5415 kJ/mol of formula units. The value obtained for the energy is -6.243 eV per atom.

The space group is Fd-3 (No. 203, origin choice 2) and the conventional cell measures 13.967, 13.967 and 13.967 Å, with angles of 90.00, 90.00 and 90.00 degrees. Symmetry generates all atoms from Na at (0.088, 0.375, 0.375), Si at (0.125, 0.125, 0.125), Ni at (0.000, 0.000, 0.500), C at (0.034, 0.034, 0.716), O at (0.021, 0.104, 0.776) and O at (0.057, 0.057, 0.057).



No. 3
A plane-wave DFT calculation with PBE+U was carried out for crystalline Na3SiNiCO7 at its relaxed geometry.

Its energy of formation is -2658 kJ/mol of formula units. The value obtained for the energy is -6.095 eV per atom.

The space group is P2_1/m (No. 11) and the conventional cell measures 5.223, 6.461 and 9.077 Å, with angles of 90.00, 92.13 and 90.00 degrees. Symmetry generates all atoms from Na at (0.231, 0.250, 0.087), Na at (0.252, 0.512, 0.728), Si at (0.294, 0.250, 0.430), Ni at (0.216, 0.750, 0.345), C at (0.283, 0.750, 0.062), O at (0.071, 0.750, 0.135), O at (0.140, 0.250, 0.580), O at (0.231, 0.054, 0.316), O at (0.266, 0.750, 0.920), O at (0.391, 0.750, 0.534) and O at (0.498, 0.750, 0.134).